Below is LuTlRh2 after structural relaxation, with properties calculated at the PBE-GGA level.

Calculated values
* crystal system: cubic
* formation energy from the elements: -595 meV per atom

```
data_LuTlRh2
_chemical_formula_sum 'Lu1 Tl1 Rh2'
_cell_length_a 4.6920
_cell_length_b 4.6920
_cell_length_c 4.6920
_cell_angle_alpha 60.00
_cell_angle_beta 60.00
_cell_angle_gamma 60.00
_space_group_name_H-M_alt 'P 1'
_space_group_IT_number 1
_space_group_name_Hall 'P 1'
loop_
_atom_site_label
_atom_site_type_symbol
_atom_site_fract_x
_atom_site_fract_y
_atom_site_fract_z
Lu1 Lu 0.0000 0.0000 0.0000
Tl1 Tl 0.5000 0.5000 0.5000
Rh1 Rh 0.2500 0.2500 0.2500
Rh2 Rh 0.7500 0.7500 0.7500
```